No. 1
DFT (PBE-GGA) results for Ca3Ta2N4 after structural relaxation.

Cell: 6.1549 10.3337 9.3864 Å, 90.00 90.00 90.00°
Closest atoms and distances in Å follow each position.
Fractional positions:
Ca1 0.1163 0.1533 0.0743  4 N 2.51-2.72
Ca2 0.1163 0.3467 0.4257  4 N 2.51-2.72
Ca3 0.2500 0.0000 0.3912  4 N 2.60-2.67
Ca4 0.2500 0.5000 0.1088  4 N 2.60-2.67
Ca5 0.3837 0.6533 0.4257  4 N 2.51-2.72
Ca6 0.3837 0.8467 0.0743  4 N 2.51-2.72
Ca7 0.6163 0.1533 0.9257  4 N 2.51-2.72
Ca8 0.6163 0.3467 0.5743  4 N 2.51-2.72
Ca9 0.7500 0.0000 0.6088  4 N 2.60-2.67
Ca10 0.7500 0.5000 0.8912  4 N 2.60-2.67
Ca11 0.8837 0.6533 0.5743  4 N 2.51-2.72
Ca12 0.8837 0.8467 0.9257  4 N 2.51-2.72
Ta1 0.0748 0.2500 0.7500  4 N 2.03-2.13
Ta2 0.2500 0.0000 0.7272  4 N 2.02-2.04
Ta3 0.2500 0.5000 0.7728  4 N 2.02-2.04
Ta4 0.4252 0.7500 0.7500  4 N 2.03-2.13
Ta5 0.5748 0.2500 0.2500  4 N 2.03-2.13
Ta6 0.7500 0.0000 0.2728  4 N 2.02-2.04
Ta7 0.7500 0.5000 0.2272  4 N 2.02-2.04
Ta8 0.9252 0.7500 0.2500  4 N 2.03-2.13
N1 0.0134 0.5671 0.3361  2 Ta 2.04-2.13
N2 0.0134 0.9329 0.1639  2 Ta 2.04-2.13
N3 0.2330 0.6599 0.8958  2 Ta 2.02-2.03
N4 0.2330 0.8401 0.6042  2 Ta 2.02-2.03
N5 0.2670 0.1599 0.6042  2 Ta 2.02-2.03
N6 0.2670 0.3401 0.8958  2 Ta 2.02-2.03
N7 0.4866 0.0671 0.1639  2 Ta 2.04-2.13
N8 0.4866 0.4329 0.3361  2 Ta 2.04-2.13
N9 0.5134 0.5671 0.6639  2 Ta 2.04-2.13
N10 0.5134 0.9329 0.8361  2 Ta 2.04-2.13
N11 0.7330 0.6599 0.1042  2 Ta 2.02-2.03
N12 0.7330 0.8401 0.3958  2 Ta 2.02-2.03
N13 0.7670 0.1599 0.3958  2 Ta 2.02-2.03
N14 0.7670 0.3401 0.1042  2 Ta 2.02-2.03
N15 0.9866 0.0671 0.8361  2 Ta 2.04-2.13
N16 0.9866 0.4329 0.6639  2 Ta 2.04-2.13

Output
ΔE_f in eV per atom: -0.991

---

No. 2
DFT (PBE-GGA) results for Ca3Ho after structural relaxation.

Cell: 5.3461 5.3461 5.3461 Å, 90.00 90.00 90.00°
Closest atoms and distances in Å follow each position.
Fractional positions:
Ca1 0.0000 0.0000 0.5000  4 Ho 3.78, 8 Ca 3.78
Ca2 0.0000 0.5000 0.0000  4 Ho 3.78, 8 Ca 3.78
Ca3 0.5000 0.0000 0.0000  4 Ho 3.78, 8 Ca 3.78
Ho1 0.5000 0.5000 0.5000  12 Ca 3.78

Output
ΔE_f in eV per atom: 0.152

---

No. 3
DFT (PBE-GGA) results for ErZn after structural relaxation.

Cell: 3.5416 3.5416 3.5416 Å, 90.00 90.00 90.00°
Closest atoms and distances in Å follow each position.
Fractional positions:
Er1 0.0000 0.0000 0.0000  8 Zn 3.07
Zn1 0.5000 0.5000 0.5000  8 Er 3.07

Output
ΔE_f in eV per atom: -0.354

---

No. 4
DFT (PBE-GGA) results for Th3Be after structural relaxation.

Cell: 4.7810 4.7810 4.7810 Å, 90.00 90.00 90.00°
Closest atoms and distances in Å follow each position.
Fractional positions:
Th1 0.0000 0.0000 0.5000  8 Th 3.38, 4 Be 3.38
Th2 0.0000 0.5000 0.0000  8 Th 3.38, 4 Be 3.38
Th3 0.5000 0.0000 0.0000  8 Th 3.38, 4 Be 3.38
Be1 0.5000 0.5000 0.5000  12 Th 3.38

Output
ΔE_f in eV per atom: 0.291

---

No. 5
DFT (PBE-GGA) results for AlOF3 after structural relaxation.

Cell: 3.9654 3.9654 3.5558 Å, 90.00 90.00 90.00°
Closest atoms and distances in Å follow each position.
Fractional positions:
Al1 0.0000 0.0000 0.0000  6 F 1.78-1.98
O1 0.5000 0.5000 0.0000  4 F 1.98
F1 0.0000 0.0000 0.5000  2 Al 1.78
F2 0.0000 0.5000 0.0000  2 O 1.98, 2 Al 1.98
F3 0.5000 0.0000 0.0000  2 O 1.98, 2 Al 1.98

Output
ΔE_f in eV per atom: -2.132

---

Number 4 is which compound? Th3Be

---

Which value of ΔE_f does entry 5 give? -2.132 eV per atom

---

Number 4 is which compound? Th3Be